A relaxed structure of BeGa2O4, computed with PBE-GGA.

Cell and atoms, written as POSCAR:
```
BeGa2O4
1.0
5.884 0.000 0.000
0.000 5.142 0.000
0.000 0.191 10.668
Be Ga O
4 8 16
direct
0.770 0.830 0.662 Be
0.741 0.827 0.173 Be
0.270 0.170 0.338 Be
0.241 0.173 0.827 Be
0.277 0.683 0.688 Ga
0.494 0.676 0.422 Ga
0.777 0.317 0.312 Ga
0.963 0.834 0.922 Ga
0.994 0.324 0.578 Ga
0.233 0.670 0.176 Ga
0.463 0.166 0.078 Ga
0.733 0.330 0.824 Ga
0.250 0.314 0.697 O
0.490 0.303 0.408 O
0.530 0.751 0.589 O
0.750 0.686 0.303 O
0.748 0.150 0.171 O
0.775 0.152 0.670 O
0.983 0.204 0.909 O
0.962 0.731 0.089 O
0.030 0.249 0.411 O
0.990 0.697 0.592 O
0.248 0.850 0.829 O
0.275 0.848 0.330 O
0.262 0.307 0.192 O
0.462 0.269 0.911 O
0.483 0.796 0.091 O
0.762 0.693 0.808 O
```

Computed properties:
- DFT total energy: -174.377 eV for the cell shown
- Energy relative to the elements: -2.394 eV/atom
- Size of the total moment: 0.00 μB/f.u.
- SG: No. 4
- Relative energy among the computed polymorphs: 116 meV per atom